# 1
A plane-wave DFT calculation with PBE-GGA was carried out for a geometry-optimized Mg6GaCo structure.

## Properties
Distance to the lowest polymorph of the same formula (eV/f.u.): 0.09
Energy of formation from the pure elements (meV/atom): 79

Cell lengths 4.7635, 6.0402, 10.3659 Å; angles 90.00, 90.00, 90.00 degrees
Fractional positions:
Mg 0.5000 0.2513 0.0838
Mg 0.5000 0.7487 0.0838
Mg 0.0000 0.2398 0.9116
Mg 0.0000 0.7602 0.9116
Mg 0.0000 0.5000 0.1752
Mg 0.0000 0.5000 0.6687
Mg 0.5000 0.7513 0.5838
Mg 0.5000 0.2487 0.5838
Mg 0.0000 0.7398 0.4116
Mg 0.0000 0.2602 0.4116
Mg 0.0000 0.0000 0.6752
Mg 0.0000 0.0000 0.1687
Ga 0.5000 0.5000 0.8321
Ga 0.5000 0.0000 0.3321
Co 0.5000 0.5000 0.3332
Co 0.5000 0.0000 0.8332

# 2
A plane-wave DFT calculation with PBE-GGA was carried out for a geometry-optimized Mg6GaCo structure.

## Properties
Distance to the lowest polymorph of the same formula (eV/f.u.): 0.00
Energy of formation from the pure elements (meV/atom): 68

Cell lengths 4.8114, 6.0624, 10.4163 Å; angles 90.00, 90.00, 90.00 degrees
Fractional positions:
Mg 0.0000 0.2545 0.0867
Mg 0.0000 0.7455 0.0867
Mg 0.0000 0.5000 0.8341
Mg 0.5000 0.2358 0.9094
Mg 0.5000 0.7642 0.9094
Mg 0.5000 0.5000 0.6668
Mg 0.0000 0.7545 0.5867
Mg 0.0000 0.2455 0.5867
Mg 0.0000 0.0000 0.3341
Mg 0.5000 0.7358 0.4094
Mg 0.5000 0.2642 0.4094
Mg 0.5000 0.0000 0.1668
Ga 0.5000 0.5000 0.1744
Ga 0.5000 0.0000 0.6744
Co 0.0000 0.5000 0.3325
Co 0.0000 0.0000 0.8325

# 3
A plane-wave DFT calculation with PBE-GGA was carried out for a geometry-optimized MnGa2Co structure.

## Properties
Space group: Fm-3m (225)
Crystal system: cubic
Energy of formation from the pure elements (meV/atom): -98

Cell lengths 4.1189, 4.1189, 4.1189 Å; angles 60.00, 60.00, 60.00 degrees
Fractional positions:
Mn 0.5000 0.5000 0.5000
Ga 0.7500 0.7500 0.7500
Ga 0.2500 0.2500 0.2500
Co 0.0000 0.0000 0.0000

# 4
A plane-wave DFT calculation with PBE-GGA was carried out for a geometry-optimized MnVGaCo structure.

## Properties
Space group: P-43m (215)
Crystal system: cubic
Energy of formation from the pure elements (meV/atom): -307

Cell lengths 5.7600, 5.7600, 5.7600 Å; angles 90.00, 90.00, 90.00 degrees
Fractional positions:
Mn 0.5000 0.5000 0.0000
Mn 0.5000 0.0000 0.5000
Mn 0.0000 0.5000 0.5000
Mn 0.5000 0.5000 0.5000
V 0.2566 0.2566 0.2566
V 0.7434 0.7434 0.2566
V 0.2566 0.7434 0.7434
V 0.7434 0.2566 0.7434
Ga 0.7524 0.7524 0.7524
Ga 0.2476 0.2476 0.7524
Ga 0.2476 0.7524 0.2476
Ga 0.7524 0.2476 0.2476
Co 0.0000 0.0000 0.0000
Co 0.5000 0.0000 0.0000
Co 0.0000 0.5000 0.0000
Co 0.0000 0.0000 0.5000

# 5
A plane-wave DFT calculation with PBE-GGA was carried out for a geometry-optimized MnV2Ga2Co3 structure.

## Properties
Space group: Pn-3m (224)
Crystal system: cubic
Energy of formation from the pure elements (meV/atom): -301

Cell lengths 5.7465, 5.7465, 5.7465 Å; angles 90.00, 90.00, 90.00 degrees
Fractional positions:
Mn 0.0000 0.0000 0.0000
Mn 0.5000 0.5000 0.5000
V 0.2500 0.2500 0.2500
V 0.7500 0.7500 0.2500
V 0.2500 0.7500 0.7500
V 0.7500 0.2500 0.7500
Ga 0.7500 0.7500 0.7500
Ga 0.2500 0.2500 0.7500
Ga 0.2500 0.7500 0.2500
Ga 0.7500 0.2500 0.2500
Co 0.5000 0.5000 0.0000
Co 0.5000 0.0000 0.5000
Co 0.0000 0.5000 0.5000
Co 0.5000 0.0000 0.0000
Co 0.0000 0.5000 0.0000
Co 0.0000 0.0000 0.5000

# 6
A plane-wave DFT calculation with PBE-GGA was carried out for a geometry-optimized GaCo2N3 structure.

## Properties
Space group: C2/c (15)
Crystal system: monoclinic
Energy of formation from the pure elements (meV/atom): 259

Cell lengths 5.0294, 8.4633, 12.0425 Å; angles 90.00, 99.88, 147.29 degrees
Fractional positions:
Ga 0.4989 0.2015 0.6872
Ga 0.5011 0.7026 0.8128
Ga 0.5011 0.7985 0.3128
Ga 0.4989 0.2974 0.1872
Co 0.4120 0.9569 0.8784
Co 0.5880 0.5449 0.6216
Co 0.5880 0.0431 0.1216
Co 0.4120 0.4551 0.3784
Co 0.6654 0.9541 0.5179
Co 0.3346 0.2887 0.9821
Co 0.3346 0.0459 0.4821
Co 0.6654 0.7113 0.0179
N 0.0000 0.6107 0.7500
N 0.0000 0.3893 0.2500
N 0.8820 0.2425 0.6085
N 0.1180 0.3605 0.8915
N 0.1180 0.7575 0.3915
N 0.8820 0.6395 0.1085
N 0.3306 0.0618 0.9906
N 0.6694 0.7313 0.5094
N 0.6694 0.9382 0.0094
N 0.3306 0.2687 0.4906
N 0.0000 0.8843 0.7500
N 0.0000 0.1157 0.2500

# 7
A plane-wave DFT calculation with PBE-GGA was carried out for a geometry-optimized Ga2CoN3 structure.

## Properties
Space group: Cmc2_1 (36)
Crystal system: orthorhombic
Energy of formation from the pure elements (meV/atom): -214

Cell lengths 5.5549, 5.4759, 5.1482 Å; angles 90.00, 90.00, 119.53 degrees
Fractional positions:
Ga 0.3334 0.3324 0.4937
Ga 0.6666 0.9990 0.4937
Ga 0.6666 0.6676 0.9937
Ga 0.3334 0.0010 0.9937
Co 0.0000 0.6540 0.4937
Co 0.0000 0.3460 0.9937
N 0.3297 0.3382 0.8748
N 0.6703 0.0085 0.8748
N 0.6703 0.6618 0.3748
N 0.3297 0.9915 0.3748
N 0.0000 0.6652 0.8572
N 0.0000 0.3348 0.3572

# 8
A plane-wave DFT calculation with PBE-GGA was carried out for a geometry-optimized NdGa2Co3 structure.

## Properties
Space group: P6/mmm (191)
Crystal system: hexagonal
Energy of formation from the pure elements (meV/atom): -298

Cell lengths 8.9638, 8.9638, 3.9792 Å; angles 90.00, 90.00, 120.00 degrees
Fractional positions:
Nd 0.3333 0.6667 0.0000
Nd 0.0000 0.0000 0.0000
Nd 0.6667 0.3333 0.0000
Ga 0.1738 0.8262 0.5000
Ga 0.1738 0.3476 0.5000
Ga 0.6524 0.8262 0.5000
Ga 0.8262 0.1738 0.5000
Ga 0.3476 0.1738 0.5000
Ga 0.8262 0.6524 0.5000
Co 0.3439 0.0000 0.0000
Co 0.0000 0.3439 0.0000
Co 0.6561 0.6561 0.0000
Co 0.0000 0.6561 0.0000
Co 0.3439 0.3439 0.0000
Co 0.6561 0.0000 0.0000
Co 0.5000 0.5000 0.5000
Co 0.5000 0.0000 0.5000
Co 0.0000 0.5000 0.5000

# 9
A plane-wave DFT calculation with PBE-GGA was carried out for a geometry-optimized NdGaCo4 structure.

## Properties
Space group: P-6m2 (187)
Distance to the lowest polymorph of the same formula (eV/f.u.): 0.09
Crystal system: hexagonal
Energy of formation from the pure elements (meV/atom): -182

Cell lengths 5.1400, 5.1400, 3.8814 Å; angles 90.00, 90.00, 120.00 degrees
Fractional positions:
Nd 0.0000 0.0000 0.0000
Ga 0.3333 0.6667 0.0000
Co 0.6667 0.3333 0.0000
Co 0.5045 0.0091 0.5000
Co 0.9909 0.4955 0.5000
Co 0.5045 0.4955 0.5000

# 10
A plane-wave DFT calculation with PBE-GGA was carried out for a geometry-optimized NdGa9Co3 structure.

## Properties
Space group: C2/m (12)
Crystal system: monoclinic
Energy of formation from the pure elements (meV/atom): -185

Cell lengths 10.9407, 10.9407, 12.1394 Å; angles 56.53, 56.53, 21.47 degrees
Fractional positions:
Nd 0.9659 0.9659 0.7836
Nd 0.0341 0.0341 0.2164
Ga 0.6765 0.6765 0.0711
Ga 0.3235 0.3235 0.9289
Ga 0.7925 0.7925 0.7927
Ga 0.2075 0.2075 0.2073
Ga 0.2012 0.2012 0.8923
Ga 0.7988 0.7988 0.1077
Ga 0.0000 0.0000 0.5000
Ga 0.0000 0.0000 0.0000
Ga 0.1903 0.1903 0.5568
Ga 0.8097 0.8097 0.4432
Ga 0.5857 0.5857 0.5637
Ga 0.4143 0.4143 0.4363
Ga 0.4148 0.4148 0.2305
Ga 0.5852 0.5852 0.7695
Ga 0.5936 0.5936 0.9725
Ga 0.4064 0.4064 0.0275
Ga 0.4012 0.4012 0.6634
Ga 0.5988 0.5988 0.3366
Co 0.8758 0.8758 0.1879
Co 0.1242 0.1242 0.8121
Co 0.1238 0.1238 0.4370
Co 0.8762 0.8762 0.5630
Co 0.7219 0.7219 0.3627
Co 0.2781 0.2781 0.6373

# 11
A plane-wave DFT calculation with PBE-GGA was carried out for a geometry-optimized NdGa2Co3 structure.

## Properties
Space group: P6/mmm (191)
Crystal system: hexagonal
Energy of formation from the pure elements (meV/atom): -332

Cell lengths 3.8489, 9.0864, 9.0915 Å; angles 119.98, 90.00, 90.00 degrees
Fractional positions:
Nd 0.0000 0.0000 0.0000
Nd 0.5000 0.3333 0.6667
Nd 0.5000 0.6667 0.3333
Ga 0.5000 0.3123 0.0000
Ga 0.5000 0.6879 0.6880
Ga 0.5000 0.9999 0.3120
Ga 0.5000 0.6877 0.0000
Ga 0.5000 0.3121 0.3120
Ga 0.5000 0.0000 0.6880
Co 0.0000 0.5000 0.0000
Co 0.0000 0.5000 0.5000
Co 0.0000 0.0000 0.5000
Co 0.0000 0.1824 0.3648
Co 0.0000 0.1826 0.8177
Co 0.0000 0.6350 0.8176
Co 0.0000 0.8176 0.6352
Co 0.0000 0.3650 0.1823
Co 0.0000 0.8174 0.1824

# 12
A plane-wave DFT calculation with PBE-GGA was carried out for a geometry-optimized NdGaCo4 structure.

## Properties
Space group: P6/mmm (191)
Distance to the lowest polymorph of the same formula (eV/f.u.): 0.00
Crystal system: hexagonal
Energy of formation from the pure elements (meV/atom): -198

Cell lengths 8.7269, 8.7269, 4.0218 Å; angles 90.00, 90.00, 120.00 degrees
Fractional positions:
Nd 0.3333 0.6667 0.0000
Nd 0.6667 0.3333 0.0000
Nd 0.0000 0.0000 0.0000
Ga 0.5000 0.0000 0.5000
Ga 0.0000 0.5000 0.5000
Ga 0.5000 0.5000 0.5000
Co 0.1604 0.3208 0.5000
Co 0.8396 0.6792 0.5000
Co 0.6792 0.8396 0.5000
Co 0.3208 0.1604 0.5000
Co 0.1604 0.8396 0.5000
Co 0.8396 0.1604 0.5000
Co 0.3239 0.0000 0.0000
Co 0.6761 0.0000 0.0000
Co 0.0000 0.3239 0.0000
Co 0.0000 0.6761 0.0000
Co 0.6761 0.6761 0.0000
Co 0.3239 0.3239 0.0000